Compound: ZrNi2Sb
Source: the Materials Project database
Functional: r2SCAN
Structure: optimized geometry

The structure in extended XYZ format:
```
8
Lattice="4.194 0.000 0.000 -2.097 3.632 0.000 0.000 0.000 8.297" Properties=species:S:1:pos:R:3 pbc="T T T"
Zr 0.000 2.421 2.074
Zr 2.097 1.211 6.223
Ni 0.000 2.421 4.949
Ni 0.000 2.421 7.497
Ni 2.097 1.211 0.800
Ni 2.097 1.211 3.348
Sb 0.000 0.000 0.000
Sb 0.000 0.000 4.149
```

Properties
Formation enthalpy at 0 K in eV per atom: -0.585
Magnetization in μB/f.u.: 0.01